# Hf9W4O3

A relaxed structure of Hf9W4O3 (GGA+U, the Materials Project database).

```
Hf9W4O3
1.0
4.334 -7.507 0.000
4.334 7.507 0.000
0.000 0.000 8.503
Hf W O
18 8 6
Cartesian
5.994 -1.544 3.705
2.783 3.398 2.126
4.334 4.419 4.798
4.334 0.711 2.126
2.675 1.544 4.798
5.994 1.544 4.798
5.994 1.544 7.956
4.334 4.419 7.956
4.334 -4.419 3.705
2.675 -1.544 3.705
4.334 -4.419 0.546
2.675 -1.544 0.546
2.675 1.544 7.956
5.994 -1.544 0.546
4.334 -0.711 6.377
5.886 -3.398 6.377
5.886 3.398 2.126
2.783 -3.398 6.377
7.223 0.835 2.126
1.446 0.835 2.126
0.000 0.000 4.251
4.334 5.838 2.126
4.334 -5.838 6.377
0.000 0.000 0.000
1.446 -0.835 6.377
7.223 -0.835 6.377
2.167 -3.754 4.251
2.167 3.754 4.251
2.167 -3.754 0.000
4.334 0.000 4.251
4.334 0.000 0.000
2.167 3.754 0.000
```

final energy	-9.16	eV per atom
E (MP2020)	-10.399	eV/atom

---

# Li4V3P8O29

A relaxed structure of Li4V3P8O29 (GGA+U, the Materials Project database).

```
Li4V3P8O29
1.0
-8.434 4.705 1.558
-6.148 -3.193 6.908
6.351 8.366 9.636
O V P Li
58 6 16 8
Cartesian
-12.636 2.883 7.674
-5.200 0.467 6.535
-5.529 6.930 15.084
1.529 6.411 7.300
1.126 4.900 9.321
-3.148 4.380 5.126
-3.284 -0.259 7.921
-3.720 2.762 6.944
0.710 6.205 11.542
1.317 8.578 12.259
-6.389 5.490 10.638
-0.582 3.817 11.064
-9.835 3.323 10.638
-7.048 8.848 14.547
-4.535 7.161 11.059
-7.547 2.063 10.091
-10.238 5.801 11.020
-3.069 9.389 11.548
3.463 5.593 8.661
-6.307 8.673 8.742
-6.729 7.342 12.345
-7.764 -1.445 7.944
-3.175 5.623 14.899
-6.229 5.188 5.125
-9.514 1.134 5.937
-0.863 6.601 14.643
-7.683 6.042 6.963
-2.650 7.148 12.925
-4.009 11.683 12.144
-1.863 9.983 8.635
-7.481 3.551 3.592
-0.192 3.065 2.722
-1.461 2.608 5.754
-9.338 4.934 8.785
-2.909 0.282 5.463
1.389 7.914 9.811
-0.701 7.805 8.018
-6.141 4.054 7.369
-2.945 7.831 9.198
-1.899 4.534 7.346
-6.574 8.298 16.981
-5.323 2.022 8.886
-5.100 5.408 12.824
-0.869 8.066 11.003
-3.073 3.477 11.294
-1.262 0.901 3.381
-5.343 9.600 12.637
-5.652 2.735 5.178
-5.190 6.396 7.131
-8.952 3.561 6.423
-1.732 4.808 13.034
-2.703 2.972 2.975
-7.341 1.703 7.104
-5.075 4.182 3.165
-8.956 5.324 13.671
-5.451 1.513 11.382
-9.556 1.956 8.342
-2.152 5.798 10.754
-5.520 2.348 7.013
-9.524 5.361 6.926
-3.212 4.789 3.337
-2.646 7.573 11.125
-5.062 5.100 14.754
1.262 4.488 11.192
-6.261 5.467 6.705
0.690 7.769 11.190
-1.509 2.135 2.487
-4.317 10.284 11.692
-6.136 1.415 10.048
-6.170 3.845 4.216
-5.725 6.312 11.689
2.000 5.168 8.084
-2.103 8.491 8.063
-8.881 2.062 6.916
-6.712 7.747 15.622
-10.223 4.719 10.021
-3.913 -0.409 6.440
-2.057 6.100 13.928
-2.489 3.600 6.362
-1.953 4.430 11.471
0.638 3.358 5.940
-11.814 1.232 8.101
-8.951 6.497 12.186
3.494 8.643 10.011
-4.875 7.295 8.775
-4.749 3.262 12.126
-7.014 -0.469 6.383
-9.267 3.716 4.167
```

final energy	-7.04	eV per atom
E (MP2020)	-7.612	eV/atom

---

# Ca3Fe2Rh2O12

A relaxed structure of Ca3Fe2Rh2O12 (GGA+U, the Materials Project database).

```
Ca3Fe2Rh2O12
1.0
-6.359 -0.196 -0.645
0.868 -4.612 -4.344
-0.077 -4.179 4.839
O Ca Fe Rh
12 3 2 2
Cartesian
-3.788 -5.455 1.313
-2.073 -3.398 1.393
-2.296 -6.349 -0.496
-3.159 -2.690 -0.757
-5.961 -2.098 0.112
0.266 -6.832 0.975
-1.014 -5.101 -3.592
-4.363 -5.059 -1.098
-3.797 -4.233 -3.919
-5.400 -3.351 2.704
-0.798 -5.349 3.271
-1.025 -4.011 -0.804
-4.017 -1.681 1.399
-1.826 -2.966 -2.965
0.275 -4.341 1.416
-2.784 -4.494 -0.075
0.000 0.000 0.000
-4.202 -6.783 -0.113
-1.366 -2.205 -0.037
```

final energy	-6.16	eV per atom
E (MP2020)	-6.831	eV/atom

---

# LaMn3Cr4O12

A relaxed structure of LaMn3Cr4O12 (GGA+U, the Materials Project database).

```
LaMn3Cr4O12
1.0
3.068 1.430 5.578
-6.447 -0.016 1.006
1.892 -5.890 -2.074
Mn O Cr La
3 12 4 1
Cartesian
-2.277 -2.953 -0.534
2.480 -2.230 1.752
-1.689 0.707 3.292
0.358 -3.877 2.659
-3.132 -0.059 4.359
0.788 0.385 4.632
-2.429 -3.343 2.270
1.646 -4.416 0.151
-4.319 -1.644 0.935
-2.275 -4.860 -0.123
-1.845 -0.598 1.850
2.832 -2.831 3.575
-0.539 -2.610 0.284
-0.948 -1.865 4.225
0.942 -1.132 2.239
0.946 -2.945 -1.037
1.534 0.715 2.789
-3.223 -0.008 0.503
-0.743 -2.238 2.255
0.000 0.000 0.000
```

final energy	-7.92	eV per atom
E (MP2020)	-8.978	eV/atom

---

# Li3Co2O2F3

A relaxed structure of Li3Co2O2F3 (GGA+U, the Materials Project database).

```
Li3Co2O2F3
1.0
-1.475 1.475 10.398
1.475 -1.475 10.398
1.475 1.475 -10.398
O F Li Co
2 3 3 2
Cartesian
0.000 0.000 6.344
0.000 0.000 14.452
0.000 0.000 10.398
0.000 0.000 1.993
0.000 0.000 18.803
0.000 0.000 0.000
0.000 0.000 8.391
0.000 0.000 12.405
0.000 0.000 16.493
0.000 0.000 4.303
```

final energy	-5.20	eV per atom
E (MP2020)	-5.805	eV/atom

---

# Sr4Cu3NiO8

A relaxed structure of Sr4Cu3NiO8 (GGA+U, the Materials Project database).

```
Sr4Cu3NiO8
1.0
5.146 6.557 -0.762
-6.347 -4.302 3.357
4.960 -3.294 5.155
O Sr Cu Ni
8 4 3 1
Cartesian
-4.279 -2.349 2.616
-4.468 -4.540 4.432
6.988 4.306 2.045
4.509 5.954 -0.533
-2.009 -6.172 6.988
6.804 2.136 3.845
4.322 3.784 1.265
-1.810 -4.006 5.198
-0.045 -2.339 4.566
2.583 2.127 1.901
-2.523 -0.690 1.987
5.048 0.491 4.462
5.678 5.057 0.787
-5.627 -3.623 3.100
8.150 3.416 3.356
-3.159 -5.281 5.681
```

final energy	-5.56	eV per atom
E (MP2020)	-6.063	eV/atom

---

# Li9Mn2Co5O16

A relaxed structure of Li9Mn2Co5O16 (GGA+U, the Materials Project database).

```
Li9Mn2Co5O16
1.0
-2.917 4.173 -0.028
-5.227 -5.642 -0.151
2.051 -0.411 7.515
Mn O Li Co
2 16 9 5
Cartesian
-6.081 -1.893 7.306
-4.404 0.274 6.421
-1.783 -2.214 5.593
-3.547 -3.365 3.552
-6.113 -1.919 2.592
-4.184 -1.449 7.339
-0.118 0.010 4.729
-0.698 2.869 5.767
-2.551 1.646 3.677
-2.656 2.454 0.825
-4.324 0.252 1.803
-2.503 0.712 6.501
-3.366 -4.328 6.527
-3.652 -2.669 0.751
-1.895 -0.401 -0.033
-4.181 -0.527 4.700
-0.163 0.787 1.795
-1.761 -1.269 2.725
-2.009 -1.141 7.417
-5.785 -2.912 0.792
-5.624 -3.757 3.643
-3.885 -2.460 5.443
-2.257 0.571 1.848
-2.129 -0.278 4.627
-3.979 -1.576 2.749
-3.310 -5.186 4.575
-0.306 1.023 6.499
-1.638 -3.050 3.704
0.257 -1.602 5.538
-2.791 3.322 2.773
-6.324 -0.210 1.827
-4.601 1.977 0.866
```

final energy	-5.83	eV per atom
E (MP2020)	-6.533	eV/atom

---

# MgV4O6F4

A relaxed structure of MgV4O6F4 (GGA+U, the Materials Project database).

```
MgV4O6F4
1.0
-2.664 0.203 -4.121
-0.706 -5.369 0.457
-3.445 4.912 5.160
O V Mg F
6 4 1 4
Cartesian
-4.186 2.385 1.420
-3.617 2.987 4.260
-4.385 0.370 3.916
-2.727 -2.621 -0.136
-3.129 -3.206 -2.797
-2.494 -0.467 -2.346
-3.962 3.935 2.626
-1.281 -1.632 0.818
-2.859 -4.186 -1.057
-5.587 1.447 0.761
-4.585 -2.025 0.103
-2.582 -1.507 2.555
-4.800 -0.392 1.214
-4.265 1.443 -1.002
-2.083 0.088 0.213
```

final energy	-6.94	eV per atom
E (MP2020)	-7.788	eV/atom